# SrNdGaO4 | the Materials Project | PBE-GGA | relaxed
data_SrNdGaO4
_chemical_formula_sum 'Sr2 Nd2 Ga2 O8'
_space_group_name_H-M_alt 'I 4 m m'
_space_group_IT_number 107
_space_group_name_Hall 'I 4 -2'
_cell_length_a 3.868
_cell_length_b 3.868
_cell_length_c 12.524
_cell_angle_alpha 90.00
_cell_angle_beta 90.00
_cell_angle_gamma 90.00
loop_
_atom_site_label
_atom_site_type_symbol
_atom_site_fract_x
_atom_site_fract_y
_atom_site_fract_z
_atom_site_occupancy
Sr1 Sr 0.000 0.000 0.000 1
Nd1 Nd 0.000 0.000 0.716 1
Ga1 Ga 0.000 0.000 0.361 1
O1 O 0.000 0.000 0.191 1
O2 O 0.000 0.000 0.528 1
O3 O 0.000 0.500 0.348 1
# Calculated volume: 187.3 Å³ per cell
# Total energy: -0.50397 Ry/atom

# Nd5Ti4GaO17 | the Materials Project | PBE-GGA | relaxed
data_Nd5Ti4GaO17
_chemical_formula_sum 'Nd20 Ti16 Ga4 O68'
_space_group_name_H-M_alt 'P 1 c 1'
_space_group_IT_number 7
_cell_length_a 7.736
_cell_length_b 5.509
_cell_length_c 32.066
_cell_angle_alpha 90.00
_cell_angle_beta 97.05
_cell_angle_gamma 90.00
loop_
_space_group_symop_operation_xyz
'x,y,z'
'x,-y,z+1/2'
loop_
_atom_site_label
_atom_site_type_symbol
_atom_site_fract_x
_atom_site_fract_y
_atom_site_fract_z
_atom_site_occupancy
Nd1 Nd 0.000 0.230 0.000 1
Nd2 Nd 0.071 0.376 0.641 1
Nd3 Nd 0.360 0.130 0.199 1
Nd4 Nd 0.434 0.264 0.837 1
Nd5 Nd 0.471 0.261 0.425 1
Nd6 Nd 0.513 0.246 0.015 1
Nd7 Nd 0.572 0.315 0.622 1
Nd8 Nd 0.856 0.202 0.221 1
Nd9 Nd 0.910 0.248 0.822 1
Nd10 Nd 0.952 0.240 0.410 1
Ti1 Ti 0.131 0.299 0.742 1
Ti2 Ti 0.167 0.240 0.325 1
Ti3 Ti 0.211 0.247 0.918 1
Ti4 Ti 0.261 0.269 0.512 1
Ti5 Ti 0.293 0.191 0.096 1
Ti6 Ti 0.618 0.301 0.741 1
Ti7 Ti 0.758 0.267 0.513 1
Ti8 Ti 0.808 0.183 0.098 1
Ga1 Ga 0.667 0.235 0.324 1
Ga2 Ga 0.714 0.248 0.919 1
O1 O 0.009 0.330 0.509 1
O2 O 0.048 0.284 0.089 1
O3 O 0.080 0.081 0.698 1
O4 O 0.089 0.037 0.282 1
O5 O 0.136 0.431 0.208 1
O6 O 0.144 0.040 0.869 1
O7 O 0.182 0.448 0.800 1
O8 O 0.183 0.031 0.455 1
O9 O 0.238 0.467 0.384 1
O10 O 0.251 0.048 0.038 1
O11 O 0.282 0.465 0.970 1
O12 O 0.297 0.076 0.630 1
O13 O 0.342 0.463 0.556 1
O14 O 0.343 0.412 0.140 1
O15 O 0.379 0.206 0.748 1
O16 O 0.415 0.170 0.332 1
O17 O 0.457 0.168 0.916 1
O18 O 0.503 0.177 0.500 1
O19 O 0.550 0.147 0.090 1
O20 O 0.583 0.413 0.214 1
O21 O 0.621 0.098 0.692 1
O22 O 0.632 0.450 0.800 1
O23 O 0.652 0.469 0.384 1
O24 O 0.697 0.468 0.971 1
O25 O 0.707 0.023 0.278 1
O26 O 0.721 0.459 0.557 1
O27 O 0.730 0.035 0.868 1
O28 O 0.777 0.032 0.455 1
O29 O 0.793 0.050 0.038 1
O30 O 0.810 0.393 0.145 1
O31 O 0.843 0.106 0.622 1
O32 O 0.882 0.367 0.748 1
O33 O 0.928 0.323 0.337 1
O34 O 0.969 0.337 0.924 1
# Calculated volume: 1356.2 Å³ per cell
# Total energy: -0.62070 Ry/atom

# Nd10Ti9GaO34 | the Materials Project | PBE-GGA | relaxed
data_Nd10Ti9GaO34
_chemical_formula_sum 'Nd20 Ti18 Ga2 O68'
_space_group_name_H-M_alt 'P 1 21/c 1'
_space_group_IT_number 14
_cell_length_a 7.738
_cell_length_b 5.522
_cell_length_c 32.009
_cell_angle_alpha 90.00
_cell_angle_beta 97.02
_cell_angle_gamma 90.00
loop_
_space_group_symop_operation_xyz
'x,y,z'
'-x,-y,-z'
'-x,y+1/2,-z+1/2'
'x,-y+1/2,z+1/2'
loop_
_atom_site_label
_atom_site_type_symbol
_atom_site_fract_x
_atom_site_fract_y
_atom_site_fract_z
_atom_site_occupancy
Nd1 Nd 0.144 0.070 0.298 1
Nd2 Nd 0.199 0.501 0.403 1
Nd3 Nd 0.242 0.009 0.493 1
Nd4 Nd 0.287 0.013 0.082 1
Nd5 Nd 0.356 0.624 0.221 1
Ti1 Ti 0.045 0.514 0.093 1
Ti2 Ti 0.094 0.064 0.179 1
Ti3 Ti 0.422 0.554 0.324 1
Ti4 Ti 0.452 0.016 0.407 1
Ti5 Ti 0.500 0.000 0.000 1
Ga1 Ga 0.000 0.000 0.000 1
O1 O 0.009 0.705 0.138 1
O2 O 0.017 0.215 0.948 1
O3 O 0.062 0.216 0.536 1
O4 O 0.081 0.197 0.119 1
O5 O 0.097 0.646 0.727 1
O6 O 0.127 0.151 0.704 1
O7 O 0.164 0.590 0.329 1
O8 O 0.210 0.576 0.919 1
O9 O 0.254 0.585 0.505 1
O10 O 0.294 0.575 0.089 1
O11 O 0.333 0.541 0.670 1
O12 O 0.372 0.165 0.779 1
O13 O 0.373 0.211 0.363 1
O14 O 0.417 0.677 0.790 1
O15 O 0.432 0.210 0.949 1
O16 O 0.464 0.699 0.381 1
O17 O 0.475 0.215 0.535 1
# Calculated volume: 1357.4 Å³ per cell
# Total energy: -0.63139 Ry/atom